No. 1
First-principles (meta-GGA r2SCAN) data for NbPbS2 after structural relaxation, as listed in the Materials Project.

Cell and atoms, written as POSCAR:
```
NbPbS2
1.0
1.694 -2.934 0.000
1.694 2.934 0.000
0.000 0.000 17.863
S Nb Pb
4 2 2
direct
0.000 0.000 0.836 S
0.000 0.000 0.664 S
0.000 0.000 0.336 S
0.000 0.000 0.164 S
0.333 0.667 0.250 Nb
0.667 0.333 0.750 Nb
0.000 0.000 0.000 Pb
0.000 0.000 0.500 Pb
```

E_tot	-1.8580	Ry/atom
magnetization	0.0000	μB per atom
energy relative to the elements	-1.008	eV/atom

No. 2
First-principles (meta-GGA r2SCAN) data for Nb2Pd after structural relaxation, as listed in the Materials Project.

Cell and atoms, written as POSCAR:
```
Nb2Pd
1.0
-1.818 -1.517 1.517
-1.818 1.517 -1.517
1.818 -4.623 -4.623
Nb Pd
2 1
direct
0.338 0.338 0.675 Nb
0.662 0.662 0.325 Nb
0.000 0.000 0.000 Pd
```

E_tot	-1.7913	Ry/atom
magnetization	0.0000	μB per atom
energy relative to the elements	-0.229	eV/atom

No. 3
First-principles (meta-GGA r2SCAN) data for Nb2PdS5 after structural relaxation, as listed in the Materials Project.

Cell and atoms, written as POSCAR:
```
Nb2PdS5
1.0
0.112 -6.235 -1.581
3.143 -5.112 -2.319
5.813 -7.485 12.485
S Nb Pd
10 4 2
direct
0.747 0.747 0.694 S
0.253 0.253 0.306 S
0.923 0.923 0.880 S
0.077 0.077 0.120 S
0.171 0.171 0.888 S
0.645 0.645 0.496 S
0.504 0.504 0.311 S
0.496 0.496 0.689 S
0.355 0.355 0.504 S
0.829 0.829 0.112 S
0.853 0.853 0.375 Nb
0.427 0.427 0.181 Nb
0.573 0.573 0.819 Nb
0.147 0.147 0.625 Nb
0.000 0.000 0.000 Pd
0.000 0.000 0.500 Pd
```

E_tot	-1.1071	Ry/atom
magnetization	0.0000	μB per atom
energy relative to the elements	-0.988	eV/atom

No. 4
First-principles (meta-GGA r2SCAN) data for Nb2Pt after structural relaxation, as listed in the Materials Project.

Cell and atoms, written as POSCAR:
```
Nb2Pt
1.0
0.000 0.000 5.164
9.992 0.000 0.000
0.000 9.992 0.000
Pt Nb
10 20
direct
0.500 0.764 0.568 Pt
0.000 0.736 0.068 Pt
0.000 0.932 0.264 Pt
0.500 0.568 0.764 Pt
0.000 0.068 0.736 Pt
0.500 0.236 0.432 Pt
0.500 0.500 0.500 Pt
0.000 0.264 0.932 Pt
0.500 0.432 0.236 Pt
0.000 0.000 0.000 Pt
0.747 0.821 0.821 Nb
0.253 0.821 0.821 Nb
0.253 0.179 0.179 Nb
0.753 0.321 0.679 Nb
0.000 0.874 0.538 Nb
0.500 0.107 0.893 Nb
0.000 0.393 0.393 Nb
0.000 0.462 0.126 Nb
0.500 0.374 0.962 Nb
0.753 0.679 0.321 Nb
0.747 0.179 0.179 Nb
0.247 0.679 0.321 Nb
0.500 0.962 0.374 Nb
0.000 0.126 0.462 Nb
0.500 0.893 0.107 Nb
0.500 0.626 0.038 Nb
0.247 0.321 0.679 Nb
0.000 0.607 0.607 Nb
0.500 0.038 0.626 Nb
0.000 0.538 0.874 Nb
```

E_tot	-2.5113	Ry/atom
magnetization	0.0000	μB per atom
energy relative to the elements	-0.516	eV/atom

Question: Among the records above, which one has the highest energy relative to the elements?
Answer: Nb2Pd

Question: What is the E_tot in the fourth record?
Answer: -2.5113 Ry/atom

Question: Which of these has the lowest E_tot?
Answer: Nb2Pt